First-principles (GGA+U) data for Li2Cr2P3O12 after structural relaxation, as listed in the Materials Project database.

Lattice parameters (Å, degrees): 8.624 8.624 8.694 120.18 120.18 60.41
Atoms (fractional coordinates):
Li  0.175  0.324  0.447
Li  0.324  0.175  0.947
Li  0.676  0.825  0.053
Li  0.825  0.676  0.553
Cr  0.139  0.639  0.921
Cr  0.361  0.861  0.579
Cr  0.639  0.139  0.421
Cr  0.861  0.361  0.079
P  0.034  0.966  0.750
P  0.253  0.461  0.248
P  0.461  0.253  0.748
P  0.539  0.747  0.252
P  0.747  0.539  0.752
P  0.966  0.034  0.250
O  0.008  0.134  0.930
O  0.049  0.778  0.747
O  0.091  0.438  0.259
O  0.134  0.008  0.430
O  0.204  0.472  0.056
O  0.222  0.951  0.753
O  0.270  0.418  0.744
O  0.300  0.628  0.422
O  0.372  0.700  0.078
O  0.418  0.270  0.244
O  0.438  0.091  0.759
O  0.472  0.204  0.556
O  0.528  0.796  0.444
O  0.562  0.909  0.241
O  0.582  0.730  0.756
O  0.628  0.300  0.922
O  0.700  0.372  0.578
O  0.730  0.582  0.256
O  0.778  0.049  0.247
O  0.796  0.528  0.944
O  0.866  0.992  0.570
O  0.909  0.562  0.741
O  0.951  0.222  0.253
O  0.992  0.866  0.070

## Properties
Space group ... C2/c (15)
Distance to the lowest polymorph of the same formula ... 4 meV/atom
Electronic total energy ... -7.117 eV/atom

First-principles (GGA+U) data for LiCrPO4 after structural relaxation, as listed in the Materials Project database.

Lattice parameters (Å, degrees): 8.707 8.707 8.707 107.56 107.56 107.56
Atoms (fractional coordinates):
Li  0.011  0.198  0.791
Li  0.198  0.791  0.011
Li  0.313  0.718  0.481
Li  0.481  0.313  0.718
Li  0.718  0.481  0.313
Li  0.791  0.011  0.198
Cr  0.048  0.817  0.634
Cr  0.127  0.361  0.522
Cr  0.361  0.522  0.127
Cr  0.522  0.127  0.361
Cr  0.634  0.048  0.817
Cr  0.817  0.634  0.048
P  0.163  0.978  0.375
P  0.375  0.163  0.978
P  0.461  0.689  0.868
P  0.689  0.868  0.461
P  0.868  0.461  0.689
P  0.978  0.375  0.163
O  0.184  0.493  0.251
O  0.192  0.885  0.502
O  0.251  0.184  0.493
O  0.254  0.961  0.907
O  0.257  0.262  0.936
O  0.262  0.936  0.257
O  0.323  0.624  0.673
O  0.361  0.673  0.988
O  0.493  0.251  0.184
O  0.502  0.192  0.885
O  0.562  0.569  0.871
O  0.569  0.871  0.562
O  0.600  0.885  0.944
O  0.624  0.673  0.323
O  0.673  0.323  0.624
O  0.673  0.988  0.361
O  0.871  0.562  0.569
O  0.885  0.502  0.192
O  0.885  0.944  0.600
O  0.907  0.254  0.961
O  0.936  0.257  0.262
O  0.944  0.600  0.885
O  0.961  0.907  0.254
O  0.988  0.361  0.673

## Properties
Space group ... R3 (146)
Distance to the lowest polymorph of the same formula ... 60 meV/atom
Electronic total energy ... -7.081 eV/atom